(1)
Here is a relaxed structure of V4O3F9 from the Materials Project. Energies are from meta-GGA r2SCAN.

Cell lengths 5.0897, 5.2684, 16.9201 Å; angles 88.61, 81.78, 61.30 degrees
Last column: nearest neighbours and their distance in Å.
Space group P1 (No. 1)
Symmetry-distinct sites (fractional):
V: 0.0000 0.0000 0.0000  2 O 1.69-1.87
V: 0.0129 0.5380 0.4942  1 O 1.67
V: 0.2782 0.8861 0.6296  2 O 1.68-1.86
V: 0.3126 0.3566 0.1225  1 O 1.68
V: 0.5012 0.2742 0.7419  2 O 1.68-1.86
V: 0.5612 0.7251 0.2532  1 O 1.66
V: 0.7717 0.6534 0.8756  1 O 1.84, 5 F 1.89-1.98
V: 0.7866 0.1316 0.3738  4 F 1.91-1.92, 2 O 1.91-1.92
O: 0.3094 0.6074 0.6859  2 V 1.68-1.86
O: 0.3530 0.0848 0.7053  2 V 1.68-1.86
O: 0.6810 0.1753 0.0844  2 V 1.68-1.87
O: 0.7403 0.4555 0.3113  1 V 1.66
O: 0.8358 0.8078 0.4356  1 V 1.67
O: 0.8631 0.8130 0.9563  2 V 1.69-1.84
F: 0.1856 0.2251 0.0370  2 V 1.93-1.99
F: 0.2006 0.4342 0.8365  2 V 1.93
F: 0.2116 0.9333 0.3370  2 V 1.91-1.96
F: 0.2273 0.7168 0.5348  2 V 1.94-1.96
F: 0.2483 0.1993 0.5580  2 V 1.98-2.00
F: 0.2522 0.7016 0.0638  2 V 1.91-1.96
F: 0.3064 0.0589 0.1895  2 V 1.92-2.01
F: 0.3428 0.5465 0.2144  2 V 1.93-1.95
F: 0.3501 0.8647 0.9104  2 V 1.89-2.01
F: 0.3615 0.3295 0.4105  2 V 1.91-1.96
F: 0.6991 0.4694 0.7863  2 V 1.97-1.98
F: 0.7121 0.6914 0.5885  2 V 1.93-1.96
F: 0.7194 0.9739 0.2825  2 V 1.92-1.94
F: 0.7507 0.9552 0.8067  2 V 1.92-1.97
F: 0.7965 0.3368 0.9358  2 V 1.89-1.97
F: 0.8467 0.1253 0.6561  2 V 1.92-1.95
F: 0.8478 0.2950 0.4644  2 V 1.91-1.95
F: 0.8621 0.5876 0.1594  2 V 1.92-2.02

The value obtained for the polymorph energy (0 for the lowest one) is 0.05 kcal/mol of atoms. Its formation energy is -3042 meV/atom. The value obtained for the magnetization is 5.00 μB per formula unit.

---

(2)
Here is a relaxed structure of GdDyIn2 from the Materials Project. Energies are from meta-GGA r2SCAN.

Cell lengths 7.5311, 7.5311, 7.5311 Å; angles 90.00, 90.00, 90.00 degrees
Last column: nearest neighbours and their distance in Å.
Space group Fm-3m (No. 225)
Symmetry-distinct sites (fractional):
Gd: 0.0000 0.0000 0.0000  8 In 3.26
Dy: 0.0000 0.0000 0.5000  8 In 3.26
In: 0.2500 0.2500 0.2500  4 Gd 3.26, 4 Dy 3.26

Its formation energy is -576 meV/atom. The value obtained for the magnetization is 7.39 μB per formula unit.

---

(3)
Here is a relaxed structure of TiBr3 from the Materials Project. Energies are from meta-GGA r2SCAN.

Cell lengths 6.5476, 6.5476, 19.3977 Å; angles 90.00, 90.00, 120.00 degrees
Last column: nearest neighbours and their distance in Å.
Space group R-3 (No. 148, hexagonal axes)
Symmetry-distinct sites (fractional):
Ti: 0.0000 0.0000 0.1666  6 Br 2.58
Br: 0.0004 0.3552 0.4235  2 Ti 2.58

Its formation energy is -1439 meV/atom. The value obtained for the magnetization is 1.00 μB per formula unit.

---

(4)
Here is a relaxed structure of HfNbTc2 from the Materials Project. Energies are from meta-GGA r2SCAN.

Cell lengths 6.4259, 6.4259, 6.4259 Å; angles 90.00, 90.00, 90.00 degrees
Last column: nearest neighbours and their distance in Å.
Space group Fm-3m (No. 225)
Symmetry-distinct sites (fractional):
Hf: 0.0000 0.0000 0.0000  8 Tc 2.78
Nb: 0.0000 0.0000 0.5000  8 Tc 2.78
Tc: 0.2500 0.2500 0.2500  4 Hf 2.78, 4 Nb 2.78

Its formation energy is -481 meV/atom. The value obtained for the magnetization is 0.00 μB per formula unit.

---

(5)
Here is a relaxed structure of V5Si3 from the Materials Project. Energies are from meta-GGA r2SCAN.

Cell lengths 9.3580, 9.3580, 4.6993 Å; angles 90.00, 90.00, 90.00 degrees
Last column: nearest neighbours and their distance in Å.
Space group I4/mcm (No. 140)
Symmetry-distinct sites (fractional):
V: 0.0000 0.5000 0.2500  2 V 2.35, 4 Si 2.49
V: 0.0744 0.2247 0.0000  6 Si 2.47-2.70, 3 V 2.66-2.73
Si: 0.0000 0.0000 0.2500  2 Si 2.35, 8 V 2.51
Si: 0.1661 0.3339 0.5000  10 V 2.47-2.70

The value obtained for the polymorph energy (0 for the lowest one) is 0.00 kcal/mol of atoms. Its formation energy is -611 meV/atom. The value obtained for the magnetization is 0.00 μB per formula unit.

---

(6)
Here is a relaxed structure of Cs2Pt3Se4 from the Materials Project. Energies are from meta-GGA r2SCAN.

Cell lengths 6.6906, 11.4345, 14.1292 Å; angles 90.00, 90.00, 90.00 degrees
Last column: nearest neighbours and their distance in Å.
Space group Fmmm (No. 69)
Symmetry-distinct sites (fractional):
Cs: 0.0000 0.0000 0.1463  8 Se 3.83-3.93, 6 Pt 3.90-3.93, 1 Cs 4.13
Pt: 0.0000 0.0000 0.5000  4 Se 2.48
Pt: 0.2500 0.2500 0.0000  4 Se 2.48
Se: 0.0000 0.1676 0.3890  3 Pt 2.48

Its formation energy is -839 meV/atom. The value obtained for the magnetization is 0.00 μB per formula unit.

---

(7)
Here is a relaxed structure of Si2NCl5 from the Materials Project. Energies are from meta-GGA r2SCAN.

Cell lengths 6.5147, 12.9847, 11.3337 Å; angles 90.00, 111.35, 90.00 degrees
Last column: nearest neighbours and their distance in Å.
Space group P2_1/c (No. 14)
Symmetry-distinct sites (fractional):
Si: 0.0590 0.0893 0.4916  2 N 1.73-1.74
Si: 0.2806 0.5022 0.2669  1 N 1.70
N: 0.1278 0.5038 0.1094  3 Si 1.70-1.74
Cl: 0.0742 0.7179 0.9661  1 Si 2.02
Cl: 0.0915 0.0259 0.8711  1 Si 2.03
Cl: 0.3034 0.1323 0.4325  1 Si 2.02
Cl: 0.4285 0.6406 0.3201  1 Si 2.03
Cl: 0.4908 0.6107 0.6989  1 Si 2.02

Its formation energy is -1330 meV/atom. The value obtained for the magnetization is 0.00 μB per formula unit.

---

(8)
Here is a relaxed structure of LiGePd2 from the Materials Project. Energies are from meta-GGA r2SCAN.

Cell lengths 6.0239, 6.0239, 6.0239 Å; angles 90.00, 90.00, 90.00 degrees
Last column: nearest neighbours and their distance in Å.
Space group Fm-3m (No. 225)
Symmetry-distinct sites (fractional):
Li: 0.0000 0.0000 0.0000  8 Pd 2.61
Ge: 0.0000 0.0000 0.5000  8 Pd 2.61
Pd: 0.2500 0.2500 0.2500  4 Ge 2.61, 4 Li 2.61

Its formation energy is -598 meV/atom. The value obtained for the magnetization is 0.00 μB per formula unit.

---

(9)
Here is a relaxed structure of YbPaRh2 from the Materials Project. Energies are from meta-GGA r2SCAN.

Cell lengths 6.8104, 6.8104, 6.8104 Å; angles 90.00, 90.00, 90.00 degrees
Last column: nearest neighbours and their distance in Å.
Space group Fm-3m (No. 225)
Symmetry-distinct sites (fractional):
Yb: 0.0000 0.0000 0.0000  8 Rh 2.95
Pa: 0.0000 0.0000 0.5000  8 Rh 2.95
Rh: 0.2500 0.2500 0.2500  4 Pa 2.95, 4 Yb 2.95

Its formation energy is -774 meV/atom. The value obtained for the magnetization is 0.52 μB per formula unit.

---

(10)
Here is a relaxed structure of TmGa2Ni from the Materials Project. Energies are from meta-GGA r2SCAN.

Cell lengths 4.0742, 6.5581, 5.3197 Å; angles 90.00, 112.28, 90.00 degrees
Last column: nearest neighbours and their distance in Å.
Space group P2_1/m (No. 11)
Symmetry-distinct sites (fractional):
Tm: 0.0739 0.2500 0.1470  3 Ni 2.79-2.96, 6 Ga 2.93-3.08
Ga: 0.3587 0.0539 0.7155  3 Ni 2.47-2.50, 1 Ga 2.57
Ni: 0.2081 0.7500 0.4191  6 Ga 2.47-2.50

Its formation energy is -705 meV/atom. The value obtained for the magnetization is 0.00 μB per formula unit.

---

(11)
Here is a relaxed structure of RbFeF4 from the Materials Project. Energies are from meta-GGA r2SCAN.

Cell lengths 3.8941, 3.8941, 6.3781 Å; angles 90.00, 90.00, 90.00 degrees
Last column: nearest neighbours and their distance in Å.
Space group P4/mmm (No. 123)
Symmetry-distinct sites (fractional):
Rb: 0.0000 0.0000 0.0000  8 F 3.05
Fe: 0.5000 0.5000 0.5000  6 F 1.89-1.95
F: 0.0000 0.5000 0.5000  2 Fe 1.95
F: 0.5000 0.5000 0.2041  1 Fe 1.89

Its formation energy is -2754 meV/atom. The value obtained for the magnetization is 5.00 μB per formula unit.

---

(12)
Here is a relaxed structure of Li2VF6 from the Materials Project. Energies are from meta-GGA r2SCAN.

Cell lengths 4.5486, 4.5486, 8.8657 Å; angles 90.00, 90.00, 90.00 degrees
Last column: nearest neighbours and their distance in Å.
Space group P4_2/mnm (No. 136)
Symmetry-distinct sites (fractional):
Li: 0.0000 0.0000 0.1673  6 F 1.96-2.04
V: 0.0000 0.0000 0.5000  6 F 1.82-1.87
F: 0.1961 0.1961 0.3440  1 V 1.87, 2 Li 1.96-2.01
F: 0.2168 0.2168 0.0000  1 V 1.82, 2 Li 2.04

The value obtained for the polymorph energy (0 for the lowest one) is 0.00 kcal/mol of atoms. Its formation energy is -3183 meV/atom. The value obtained for the magnetization is 1.00 μB per formula unit.

---

(13)
Here is a relaxed structure of K2H4Pt from the Materials Project. Energies are from meta-GGA r2SCAN.

Cell lengths 5.7491, 5.7491, 7.7224 Å; angles 90.00, 90.00, 90.00 degrees
Last column: nearest neighbours and their distance in Å.
Space group I4/mmm (No. 139)
Symmetry-distinct sites (fractional):
K: 0.0000 0.5000 0.2500  8 H 2.83
H: 0.2028 0.2028 0.0000  1 Pt 1.65
Pt: 0.0000 0.0000 0.0000  4 H 1.65

Its formation energy is -490 meV/atom. The value obtained for the magnetization is 0.00 μB per formula unit.

---

(14)
Here is a relaxed structure of PrNdAl4 from the Materials Project. Energies are from meta-GGA r2SCAN.

Cell lengths 8.0400, 8.0400, 8.0400 Å; angles 90.00, 90.00, 90.00 degrees
Last column: nearest neighbours and their distance in Å.
Space group F-43m (No. 216)
Symmetry-distinct sites (fractional):
Pr: 0.0000 0.0000 0.0000  12 Al 3.33, 4 Nd 3.48
Nd: 0.2500 0.2500 0.7500  12 Al 3.33, 4 Pr 3.48
Al: 0.1249 0.1249 0.3751  6 Al 2.84

Its formation energy is -547 meV/atom. The value obtained for the magnetization is 0.00 μB per formula unit.

---

(15)
Here is a relaxed structure of PrDyZn2 from the Materials Project. Energies are from meta-GGA r2SCAN.

Cell lengths 7.2471, 7.2471, 7.2471 Å; angles 90.00, 90.00, 90.00 degrees
Last column: nearest neighbours and their distance in Å.
Space group Fm-3m (No. 225)
Symmetry-distinct sites (fractional):
Pr: 0.0000 0.0000 0.0000  8 Zn 3.14
Dy: 0.0000 0.0000 0.5000  8 Zn 3.14
Zn: 0.2500 0.2500 0.2500  4 Pr 3.14, 4 Dy 3.14

Its formation energy is -333 meV/atom. The value obtained for the magnetization is 0.00 μB per formula unit.

---

(16)
Here is a relaxed structure of Hf5Ir3 from the Materials Project. Energies are from meta-GGA r2SCAN.

Cell lengths 7.9153, 7.9153, 5.5118 Å; angles 90.00, 90.00, 120.00 degrees
Last column: nearest neighbours and their distance in Å.
Space group P6_3/mcm (No. 193)
Symmetry-distinct sites (fractional):
Hf: 0.0000 0.2409 0.2500  5 Ir 2.76-3.03
Hf: 0.3333 0.6667 0.0000  2 Hf 2.76, 6 Ir 2.78
Ir: 0.0000 0.3997 0.7500  9 Hf 2.76-3.03

The value obtained for the polymorph energy (0 for the lowest one) is 0.31 kcal/mol of atoms. Its formation energy is -902 meV/atom. The value obtained for the magnetization is 0.00 μB per formula unit.

---

(17)
Here is a relaxed structure of Gd6C3Cl5 from the Materials Project. Energies are from meta-GGA r2SCAN.

Cell lengths 16.4919, 3.6968, 12.8377 Å; angles 90.00, 127.73, 90.00 degrees
Last column: nearest neighbours and their distance in Å.
Space group Cm (No. 8)
Symmetry-distinct sites (fractional):
Gd: 0.0000 0.0000 0.0000  3 C 2.51-2.56
Gd: 0.0251 0.5000 0.5572  2 C 2.45, 2 Cl 2.70-2.73
Gd: 0.1366 0.5000 0.8841  4 C 2.57-2.70
Gd: 0.2729 0.0000 0.7962  4 C 2.57-2.69
Gd: 0.3839 0.0000 0.1231  2 C 2.45, 2 Cl 2.70-2.73
Gd: 0.4094 0.5000 0.6809  3 C 2.51-2.56
C: 0.0783 0.0000 0.7122  6 Gd 2.45-2.69
C: 0.3309 0.5000 0.9681  6 Gd 2.45-2.68
C: 0.4546 0.0000 0.8404  6 Gd 2.51-2.70
Cl: 0.0800 0.5000 0.2106  3 Gd 2.70-2.85
Cl: 0.2023 0.5000 0.5827  4 Gd 2.73-2.89
Cl: 0.2067 0.0000 0.0973  4 Gd 2.73-2.89
Cl: 0.3292 0.0000 0.4706  3 Gd 2.70-2.84
Cl: 0.4536 0.5000 0.3398  4 Gd 2.93

Its formation energy is -1569 meV/atom. The value obtained for the magnetization is 42.93 μB per formula unit.

---

(18)
Here is a relaxed structure of Sc2Sb from the Materials Project. Energies are from meta-GGA r2SCAN.

Cell lengths 4.2240, 4.2240, 7.8532 Å; angles 90.00, 90.00, 90.00 degrees
Last column: nearest neighbours and their distance in Å.
Space group P4/nmm (No. 129, origin choice 2)
Symmetry-distinct sites (fractional):
Sc: 0.2500 0.2500 0.1555  5 Sb 2.94-3.03
Sc: 0.2500 0.7500 0.5000  4 Sc 2.99, 4 Sb 3.05
Sb: 0.2500 0.2500 0.7808  9 Sc 2.94-3.05

Its formation energy is -880 meV/atom. The value obtained for the magnetization is 0.45 μB per formula unit.

---

(19)
Here is a relaxed structure of TiPt3 from the Materials Project. Energies are from meta-GGA r2SCAN.

Cell lengths 3.9245, 3.9245, 3.9245 Å; angles 90.00, 90.00, 90.00 degrees
Last column: nearest neighbours and their distance in Å.
Space group Pm-3m (No. 221)
Symmetry-distinct sites (fractional):
Ti: 0.0000 0.0000 0.0000  12 Pt 2.78
Pt: 0.0000 0.5000 0.5000  8 Pt 2.78, 4 Ti 2.78

Its formation energy is -923 meV/atom. The value obtained for the magnetization is 0.00 μB per formula unit.

---

(20)
Here is a relaxed structure of HoBi from the Materials Project. Energies are from meta-GGA r2SCAN.

Cell lengths 6.2858, 6.2858, 6.2858 Å; angles 90.00, 90.00, 90.00 degrees
Last column: nearest neighbours and their distance in Å.
Space group Fm-3m (No. 225)
Symmetry-distinct sites (fractional):
Ho: 0.0000 0.0000 0.0000  6 Bi 3.14
Bi: 0.0000 0.0000 0.5000  6 Ho 3.14

Its formation energy is -1045 meV/atom. The value obtained for the magnetization is 0.00 μB per formula unit.

---

(21)
Here is a relaxed structure of IOF3 from the Materials Project. Energies are from meta-GGA r2SCAN.

Cell lengths 5.0536, 5.4458, 11.0916 Å; angles 90.00, 90.00, 90.00 degrees
Last column: nearest neighbours and their distance in Å.
Space group P2_12_12_1 (No. 19)
Symmetry-distinct sites (fractional):
I: 0.1597 0.0691 0.0911  1 O 1.79, 3 F 1.87-1.94
O: 0.1814 0.6641 0.5313  1 I 1.79
F: 0.0400 0.2813 0.2204  1 I 1.94
F: 0.0482 0.0087 0.6879  1 I 1.87
F: 0.1743 0.1239 0.4654  1 I 1.94

Its formation energy is -1292 meV/atom. The value obtained for the magnetization is 0.00 μB per formula unit.

---

(22)
Here is a relaxed structure of AlSb from the Materials Project. Energies are from meta-GGA r2SCAN.

Cell lengths 4.3618, 4.3618, 7.1757 Å; angles 90.00, 90.00, 120.00 degrees
Last column: nearest neighbours and their distance in Å.
Space group P6_3mc (No. 186)
Symmetry-distinct sites (fractional):
Al: 0.3333 0.6667 0.0000  4 Sb 2.67-2.69
Sb: 0.3333 0.6667 0.3743  4 Al 2.67-2.69

Its formation energy is -244 meV/atom. The value obtained for the magnetization is 0.00 μB per formula unit.